No. 1
This record from the Materials Project describes crystalline Ce2Fe17 at its relaxed geometry. The functional is PBE.

Output
DFT total energy = -8.19 eV/atom

Cell: 8.396 8.396 8.396 Å, 120.00 90.00 90.00°
Element x y z (fractional)
Ce 0.750 0.000 0.000
Ce 0.250 0.000 0.000
Ce 0.250 0.667 0.333
Ce 0.750 0.333 0.667
Fe 0.610 0.667 0.333
Fe 0.390 0.333 0.667
Fe 0.110 0.333 0.667
Fe 0.890 0.667 0.333
Fe 0.500 0.500 0.000
Fe 0.500 0.500 0.500
Fe 0.500 0.000 0.500
Fe 0.000 0.500 0.000
Fe 0.000 0.500 0.500
Fe 0.000 0.000 0.500
Fe 0.750 0.671 0.035
Fe 0.750 0.364 0.329
Fe 0.750 0.965 0.636
Fe 0.750 0.364 0.035
Fe 0.750 0.965 0.329
Fe 0.750 0.671 0.636
Fe 0.250 0.329 0.965
Fe 0.250 0.636 0.671
Fe 0.250 0.035 0.364
Fe 0.250 0.636 0.965
Fe 0.250 0.035 0.671
Fe 0.250 0.329 0.364
Fe 0.488 0.833 0.667
Fe 0.488 0.833 0.167
Fe 0.488 0.333 0.167
Fe 0.512 0.167 0.333
Fe 0.512 0.167 0.833
Fe 0.512 0.667 0.833
Fe 0.988 0.167 0.333
Fe 0.988 0.167 0.833
Fe 0.988 0.667 0.833
Fe 0.012 0.833 0.667
Fe 0.012 0.833 0.167
Fe 0.012 0.333 0.167



No. 2
This record from the Materials Project describes crystalline CeFe5 at its relaxed geometry. The functional is PBE.

Output
DFT total energy = -8.06 eV/atom

Cell: 5.002 5.002 4.046 Å, 90.00 90.00 120.00°
Element x y z (fractional)
Ce 0.000 0.000 0.000
Fe 0.000 0.500 0.500
Fe 0.333 0.667 0.000
Fe 0.667 0.333 0.000
Fe 0.500 0.000 0.500
Fe 0.500 0.500 0.500



No. 3
This record from the Materials Project describes crystalline Ce2Fe17 at its relaxed geometry. The functional is PBE.

Output
DFT total energy = -8.19 eV/atom

Cell: 6.431 6.431 6.431 Å, 81.85 81.85 81.85°
Element x y z (fractional)
Ce 0.658 0.658 0.658
Ce 0.342 0.342 0.342
Fe 0.342 0.342 0.844
Fe 0.342 0.844 0.342
Fe 0.095 0.095 0.095
Fe 0.905 0.905 0.905
Fe 0.000 0.000 0.500
Fe 0.500 0.000 0.000
Fe 0.000 0.500 0.000
Fe 0.296 0.704 0.000
Fe 0.000 0.296 0.704
Fe 0.704 0.000 0.296
Fe 0.704 0.296 0.000
Fe 0.000 0.704 0.296
Fe 0.296 0.000 0.704
Fe 0.658 0.156 0.658
Fe 0.658 0.658 0.156
Fe 0.156 0.658 0.658
Fe 0.844 0.342 0.342



No. 4
This record from the Materials Project describes crystalline CeFe2 at its relaxed geometry. The functional is PBE.

Output
DFT total energy = -7.71 eV/atom

Cell: 5.111 5.111 5.111 Å, 60.00 60.00 60.00°
Element x y z (fractional)
Ce 0.750 0.750 0.750
Ce 0.500 0.500 0.500
Fe 0.125 0.125 0.625
Fe 0.125 0.625 0.125
Fe 0.125 0.125 0.125
Fe 0.625 0.125 0.125



No. 5
This record from the Materials Project describes crystalline CeFeGe3 at its relaxed geometry. The functional is PBE.

Output
DFT total energy = -6.16 eV/atom

Cell: 5.826 5.826 5.826 Å, 136.74 136.74 62.84°
Element x y z (fractional)
Ce 0.328 0.328 0.000
Fe 0.999 0.999 0.000
Ge 0.090 0.590 0.500
Ge 0.771 0.771 0.000
Ge 0.590 0.090 0.500



No. 6
This record from the Materials Project describes crystalline CeFeNi8Ge4 at its relaxed geometry. The functional is PBE.

Output
DFT total energy = -6.01 eV/atom

Cell: 8.042 8.042 8.245 Å, 60.61 60.61 89.63°
Element x y z (fractional)
Ce 0.252 0.252 0.496
Ce 0.752 0.752 0.496
Fe 0.700 0.442 0.358
Fe 0.942 0.200 0.358
Ni 0.433 0.703 0.000
Ni 0.567 0.297 0.000
Ni 0.065 0.203 0.002
Ni 0.933 0.795 0.002
Ni 0.295 0.433 0.002
Ni 0.703 0.565 0.002
Ni 0.797 0.067 0.000
Ni 0.203 0.933 0.000
Ni 0.001 0.501 0.999
Ni 0.500 0.000 0.001
Ni 0.441 0.941 0.364
Ni 0.196 0.696 0.364
Ni 0.306 0.557 0.638
Ni 0.057 0.806 0.638
Ni 0.558 0.058 0.639
Ni 0.803 0.303 0.639
Ge 0.552 0.704 0.244
Ge 0.204 0.052 0.244
Ge 0.699 0.199 0.247
Ge 0.054 0.554 0.247
Ge 0.446 0.296 0.758
Ge 0.796 0.946 0.758
Ge 0.298 0.798 0.754
Ge 0.948 0.448 0.754



No. 7
This record from the Materials Project describes crystalline Ce2Ti2Fe22H at its relaxed geometry. The functional is PBE.

Output
Corrected total energy (MP2020 scheme) = -218.8 eV for the cell shown
DFT total energy = -8.10 eV/atom

Cell: 6.497 6.497 11.992 Å, 89.65 89.65 42.71°
Element x y z (fractional)
Ce 0.996 0.996 0.004
Ce 0.496 0.496 0.503
Ti 0.684 0.684 0.316
Ti 0.184 0.184 0.816
Fe 0.612 0.612 0.111
Fe 0.112 0.112 0.611
Fe 0.888 0.888 0.388
Fe 0.389 0.389 0.888
Fe 0.113 0.113 0.387
Fe 0.613 0.613 0.887
Fe 0.385 0.385 0.115
Fe 0.884 0.884 0.615
Fe 0.248 0.750 0.250
Fe 0.749 0.249 0.750
Fe 0.750 0.248 0.250
Fe 0.249 0.749 0.750
Fe 0.501 0.000 0.001
Fe 0.001 0.500 0.501
Fe 0.000 0.501 0.001
Fe 0.500 0.001 0.501
Fe 0.321 0.321 0.321
Fe 0.821 0.821 0.822
Fe 0.178 0.178 0.179
Fe 0.678 0.678 0.679
Fe 0.823 0.823 0.177
Fe 0.323 0.323 0.678
H 0.499 0.499 0.001



No. 8
This record from the Materials Project describes crystalline CeMg14Fe at its relaxed geometry. The functional is PBE.

Output
Energy relative to the lowest polymorph listed for this composition = 0.0 kJ/mol of atoms
DFT total energy = -2.19 eV/atom

Cell: 6.514 5.917 10.386 Å, 90.00 90.00 117.01°
Element x y z (fractional)
Ce 0.125 0.813 0.125
Mg 0.151 0.326 0.625
Mg 0.166 0.833 0.625
Mg 0.618 0.317 0.125
Mg 0.655 0.324 0.625
Mg 0.618 0.800 0.125
Mg 0.655 0.831 0.625
Mg 0.348 0.177 0.373
Mg 0.348 0.177 0.877
Mg 0.348 0.672 0.373
Mg 0.348 0.672 0.877
Mg 0.881 0.190 0.336
Mg 0.881 0.190 0.914
Mg 0.839 0.670 0.392
Mg 0.839 0.670 0.858
Fe 0.179 0.339 0.125



No. 9
This record from the Materials Project describes crystalline CeMg6Fe at its relaxed geometry. The functional is PBE.

Output
DFT total energy = -2.82 eV/atom

Cell: 6.705 6.705 4.879 Å, 90.00 90.00 123.96°
Element x y z (fractional)
Ce 0.292 0.208 0.750
Mg 0.176 0.831 0.250
Mg 0.669 0.324 0.250
Mg 0.680 0.820 0.250
Mg 0.319 0.690 0.750
Mg 0.810 0.181 0.750
Mg 0.839 0.661 0.750
Fe 0.214 0.286 0.250



No. 10
This record from the Materials Project describes crystalline CeMg6Fe at its relaxed geometry. The functional is PBE.

Output
DFT total energy = -2.82 eV/atom

Cell: 6.821 6.821 5.023 Å, 90.00 90.00 130.36°
Element x y z (fractional)
Ce 0.314 0.686 0.500
Mg 0.315 0.184 0.500
Mg 0.816 0.685 0.500
Mg 0.168 0.322 0.000
Mg 0.678 0.832 0.000
Mg 0.709 0.291 0.000
Mg 0.155 0.845 0.000
Fe 0.844 0.156 0.500



No. 11
This record from the Materials Project describes crystalline CeMg14Fe at its relaxed geometry. The functional is PBE.

Output
Energy relative to the lowest polymorph listed for this composition = 1.7 kJ/mol of atoms
DFT total energy = -2.17 eV/atom

Cell: 6.428 6.428 10.285 Å, 90.00 90.00 120.00°
Element x y z (fractional)
Ce 0.667 0.333 0.500
Mg 0.658 0.829 0.000
Mg 0.683 0.842 0.500
Mg 0.171 0.342 0.000
Mg 0.158 0.317 0.500
Mg 0.171 0.829 0.000
Mg 0.158 0.842 0.500
Mg 0.829 0.171 0.229
Mg 0.829 0.171 0.771
Mg 0.829 0.659 0.229
Mg 0.829 0.659 0.771
Mg 0.341 0.171 0.229
Mg 0.341 0.171 0.771
Mg 0.333 0.667 0.264
Mg 0.333 0.667 0.736
Fe 0.667 0.333 0.000



No. 12
This record from the Materials Project describes crystalline Ce2Fe12P7 at its relaxed geometry. The functional is PBE.

Output
DFT total energy = -7.93 eV/atom

Cell: 9.005 9.005 3.657 Å, 90.00 90.00 120.00°
Element x y z (fractional)
Ce 0.000 0.000 0.000
Ce 0.333 0.667 0.500
Fe 0.096 0.394 0.000
Fe 0.298 0.904 0.000
Fe 0.606 0.702 0.000
Fe 0.818 0.606 0.000
Fe 0.788 0.182 0.000
Fe 0.394 0.212 0.000
Fe 0.048 0.768 0.500
Fe 0.720 0.952 0.500
Fe 0.232 0.280 0.500
Fe 0.884 0.433 0.500
Fe 0.549 0.116 0.500
Fe 0.567 0.451 0.500
P 0.072 0.633 0.000
P 0.561 0.928 0.000
P 0.367 0.439 0.000
P 0.772 0.730 0.500
P 0.958 0.228 0.500
P 0.270 0.042 0.500
P 0.667 0.333 0.000



No. 13
This record from the Materials Project describes crystalline CeFe4P12 at its relaxed geometry. The functional is PBE.

Output
DFT total energy = -6.81 eV/atom

Cell: 6.743 6.743 6.743 Å, 109.47 109.47 109.47°
Element x y z (fractional)
Ce 0.000 0.000 0.000
Fe 0.000 0.000 0.500
Fe 0.000 0.500 0.000
Fe 0.500 0.000 0.000
Fe 0.500 0.500 0.500
P 0.848 0.649 0.498
P 0.848 0.351 0.199
P 0.152 0.649 0.801
P 0.351 0.502 0.152
P 0.502 0.152 0.351
P 0.152 0.351 0.502
P 0.649 0.801 0.152
P 0.199 0.848 0.351
P 0.649 0.498 0.848
P 0.801 0.152 0.649
P 0.351 0.199 0.848
P 0.498 0.848 0.649



No. 14
This record from the Materials Project describes crystalline CePuFe4 at its relaxed geometry. The functional is PBE.

Output
DFT total energy = -9.10 eV/atom

Cell: 4.942 4.942 4.942 Å, 60.00 60.00 60.00°
Element x y z (fractional)
Ce 0.250 0.250 0.250
Pu 0.000 0.000 0.000
Fe 0.626 0.626 0.122
Fe 0.626 0.122 0.626
Fe 0.122 0.626 0.626
Fe 0.626 0.626 0.626



No. 15
This record from the Materials Project describes crystalline Ce2Fe2S5 at its relaxed geometry. The functional is PBE.

Output
Corrected total energy (MP2020 scheme) = -126.4 eV for the cell shown
Energy relative to the lowest polymorph listed for this composition = 0.0 kJ/mol of atoms
DFT total energy = -6.74 eV/atom

Cell: 3.878 8.395 10.920 Å, 90.00 90.00 103.36°
Element x y z (fractional)
Ce 0.381 0.762 0.303
Ce 0.619 0.238 0.803
Ce 0.621 0.243 0.187
Ce 0.379 0.757 0.687
Fe 0.090 0.181 0.468
Fe 0.910 0.819 0.968
Fe 0.310 0.620 0.997
Fe 0.690 0.380 0.497
S 0.464 0.927 0.060
S 0.536 0.073 0.560
S 0.010 0.019 0.291
S 0.990 0.981 0.791
S 0.155 0.310 0.997
S 0.845 0.690 0.497
S 0.197 0.395 0.648
S 0.803 0.605 0.148
S 0.202 0.404 0.341
S 0.798 0.596 0.841



No. 16
This record from the Materials Project describes crystalline Ce2Fe2S5 at its relaxed geometry. The functional is PBE.

Output
Corrected total energy (MP2020 scheme) = -125.4 eV for the cell shown
Energy relative to the lowest polymorph listed for this composition = 5.3 kJ/mol of atoms
DFT total energy = -6.69 eV/atom

Cell: 3.943 8.387 11.046 Å, 90.00 90.00 103.59°
Element x y z (fractional)
Ce 0.615 0.229 0.561
Ce 0.385 0.771 0.061
Ce 0.617 0.233 0.948
Ce 0.383 0.767 0.448
Fe 0.735 0.469 0.758
Fe 0.265 0.531 0.258
Fe 0.909 0.818 0.738
Fe 0.091 0.182 0.238
S 0.804 0.608 0.586
S 0.196 0.392 0.086
S 0.818 0.635 0.915
S 0.182 0.365 0.415
S 0.164 0.328 0.758
S 0.836 0.672 0.258
S 0.992 0.984 0.547
S 0.008 0.016 0.047
S 0.474 0.947 0.802
S 0.526 0.053 0.302



No. 17
This record from the Materials Project describes crystalline CeFeSi at its relaxed geometry. The functional is PBE.

Output
Corrected total energy (MP2020 scheme) = -43.2 eV for the cell shown
DFT total energy = -7.22 eV/atom

Cell: 4.048 4.048 6.685 Å, 90.00 90.00 90.00°
Element x y z (fractional)
Ce 0.000 0.500 0.311
Ce 0.500 0.000 0.689
Fe 0.000 0.000 0.000
Fe 0.500 0.500 0.000
Si 0.000 0.500 0.822
Si 0.500 0.000 0.178



No. 18
This record from the Materials Project describes crystalline CeFe2Si2 at its relaxed geometry. The functional is PBE.

Output
Corrected total energy (MP2020 scheme) = -36.9 eV for the cell shown
DFT total energy = -7.40 eV/atom

Cell: 5.541 5.541 5.541 Å, 137.56 137.56 61.58°
Element x y z (fractional)
Ce 0.000 0.000 0.000
Fe 0.750 0.250 0.500
Fe 0.250 0.750 0.500
Si 0.636 0.636 0.000
Si 0.364 0.364 0.000



Number 1: energy relative to the elements 1.5 kJ/mol of atoms. Number 2: energy relative to the elements -0.8 kJ/mol of atoms. Number 3: energy relative to the elements 1.5 kJ/mol of atoms. Number 4: energy relative to the elements -7.9 kJ/mol of atoms. Number 5: energy relative to the elements -48.7 kJ/mol of atoms. Number 6: energy relative to the elements -34.8 kJ/mol of atoms. Number 7: energy relative to the elements -5.0 kJ/mol of atoms. Number 8: energy relative to the elements 10.9 kJ/mol of atoms. Number 9: energy relative to the elements 17.1 kJ/mol of atoms. Number 10: energy relative to the elements 17.0 kJ/mol of atoms. Number 11: energy relative to the elements 12.6 kJ/mol of atoms. Number 12: energy relative to the elements -69.3 kJ/mol of atoms. Number 13: energy relative to the elements -62.6 kJ/mol of atoms. Number 14: energy relative to the elements -8.3 kJ/mol of atoms. Number 15: energy relative to the elements -146.9 kJ/mol of atoms. Number 16: energy relative to the elements -141.6 kJ/mol of atoms. Number 17: energy relative to the elements -56.5 kJ/mol of atoms. Number 18: energy relative to the elements -60.7 kJ/mol of atoms.